1.
VASP calculation (r²SCAN) on Ba3RuN3 after structural relaxation.

Cell lengths 8.2289, 8.2290, 5.6498 Å; angles 90.00, 90.00, 120.00 degrees
Positions (direct):
Ba 0.9050 0.6383 0.2500
N 0.5658 0.6845 0.2500
Ba 0.6381 0.7332 0.7500
N 0.8810 0.5657 0.7500
N 0.4344 0.3154 0.7500
N 0.1187 0.4342 0.2500
Ba 0.2667 0.9048 0.7500
Ba 0.0952 0.3619 0.7500
N 0.3155 0.8813 0.2500
Ba 0.3617 0.2667 0.2500
Ba 0.7333 0.0950 0.2500
Ru 0.3333 0.6666 0.2500
N 0.6846 0.1190 0.7500
Ru 0.6667 0.3334 0.7500

=====

2.
VASP calculation (r²SCAN) on La2PbSe4 after structural relaxation.

Cell lengths 7.9285, 7.9284, 7.9283 Å; angles 109.41, 109.42, 109.58 degrees
Positions (direct):
La 0.9905 0.3750 0.1155
Se 0.2324 0.4840 0.6014
Se 0.7335 0.9825 0.1012
Se 0.8813 0.6324 0.8988
Se 0.5161 0.1175 0.7485
Se 0.3690 0.7676 0.2516
Se 0.0176 0.1187 0.7511
La 0.2595 0.8750 0.8845
Pb 0.5000 0.5000 0.0000
La 0.1250 0.0095 0.3845
La 0.6250 0.7405 0.6156
Pb 0.7500 0.2500 0.5000
Se 0.3676 0.2664 0.2489
Se 0.8825 0.6310 0.3986

=====

3.
VASP calculation (r²SCAN) on ErCu4Au after structural relaxation.

Cell lengths 4.9644, 4.9644, 4.9644 Å; angles 60.00, 60.00, 60.00 degrees
Positions (direct):
Cu 0.6243 0.6243 0.6243
Er 0.0000 0.0000 0.0000
Cu 0.6243 0.1270 0.6243
Cu 0.1270 0.6243 0.6243
Au 0.2500 0.2500 0.2500
Cu 0.6243 0.6243 0.1270

=====

4.
VASP calculation (r²SCAN) on K4Fe2O5 after structural relaxation.

Cell lengths 5.9391, 6.3821, 10.0146 Å; angles 75.88, 90.00, 90.00 degrees
Positions (direct):
O 0.0000 0.5000 0.0000
K 0.8776 0.7310 0.5172
Fe 0.1153 0.5923 0.1556
K 0.0911 0.9058 0.8364
K 0.4089 0.9058 0.3364
O 0.7358 0.1379 0.4026
O 0.5000 0.5000 0.5000
O 0.3546 0.3917 0.2302
O 0.8546 0.6083 0.2698
O 0.7642 0.1379 0.9026
Fe 0.8847 0.4077 0.8444
O 0.2358 0.8621 0.0974
K 0.9089 0.0942 0.1636
K 0.6224 0.7310 0.0172
K 0.3776 0.2690 0.9828
Fe 0.3847 0.5923 0.6556
K 0.1224 0.2690 0.4828
K 0.5911 0.0942 0.6636
O 0.6454 0.6083 0.7698
Fe 0.6153 0.4077 0.3444
O 0.1454 0.3917 0.7302
O 0.2642 0.8621 0.5974

=====

5.
VASP calculation (r²SCAN) on AlWO3 after structural relaxation.

Cell lengths 3.9442, 3.9442, 3.9442 Å; angles 90.00, 90.00, 90.00 degrees
Positions (direct):
O 0.5000 0.5000 0.0000
Al 0.0000 0.0000 0.0000
O 0.0000 0.5000 0.5000
W 0.5000 0.5000 0.5000
O 0.5000 0.0000 0.5000

=====

6.
VASP calculation (r²SCAN) on Tb2FeCo3 after structural relaxation.

Cell lengths 4.9960, 4.9960, 4.9960 Å; angles 62.89, 62.89, 62.89 degrees
Positions (direct):
Co 0.0000 0.0000 0.5000
Co 0.0000 0.5000 0.0000
Fe 0.0000 0.0000 0.0000
Co 0.5000 0.0000 0.0000
Tb 0.6272 0.6272 0.6272
Tb 0.3728 0.3728 0.3728

=====

So what do the calculations give for energy relative to the elements? Going down the list: -0.6302 -1.8543 -0.3662 -1.6650 -1.4598 -0.1122 eV per atom.
So what do the calculations give for calculated density? Going down the list: 5.56 6.93 11.87 3.14 7.00 9.74 g cm⁻³.